[1]
VASP calculation (PBE+U) on an optimized crystal structure of Mn3Cd3Te2O12.

Calculated values
E (MP2020): -6.52 eV/atom
Energy relative to the elements: -1.725 eV/atom
V: 13.460 Å³ per atom

a = 6.457 Å, b = 12.915 Å, c = 6.457 Å
α = 90.22°, β = 90.21°, γ = 90.22°
Fractional positions:
Mn1 0.748 0.782 0.048
Mn2 0.564 0.024 0.748
Mn3 0.048 0.374 0.564
Mn4 0.748 0.282 0.048
Mn5 0.564 0.524 0.748
Mn6 0.048 0.874 0.564
Cd1 0.253 0.219 0.954
Cd2 0.253 0.719 0.954
Cd3 0.437 0.477 0.253
Cd4 0.437 0.977 0.253
Cd5 0.954 0.127 0.437
Cd6 0.954 0.627 0.437
Te1 0.507 0.253 0.507
Te2 0.507 0.753 0.507
Te3 0.996 0.498 0.996
Te4 0.996 0.998 0.996
O1 0.573 0.218 0.796
O2 0.573 0.718 0.796
O3 0.437 0.398 0.573
O4 0.437 0.898 0.573
O5 0.796 0.287 0.436
O6 0.796 0.787 0.436
O7 0.452 0.284 0.213
O8 0.452 0.784 0.213
O9 0.567 0.107 0.452
O10 0.567 0.607 0.452
O11 0.213 0.226 0.567
O12 0.213 0.726 0.567
O13 0.704 0.458 0.033
O14 0.704 0.958 0.033
O15 0.915 0.016 0.704
O16 0.915 0.516 0.704
O17 0.033 0.352 0.915
O18 0.033 0.852 0.915
O19 0.286 0.036 0.944
O20 0.286 0.536 0.944
O21 0.073 0.472 0.286
O22 0.073 0.972 0.286
O23 0.944 0.143 0.073
O24 0.944 0.643 0.073

[2]
VASP calculation (PBE+U) on an optimized crystal structure of Li3Fe2P5O16.

Calculated values
E (MP2020): -7.51 eV/atom
Energy relative to the elements: -2.551 eV/atom
V: 12.438 Å³ per atom
Space group: P2/c

a = 6.986 Å, b = 5.075 Å, c = 18.252 Å
α = 88.01°, β = 90.00°, γ = 90.00°
Fractional positions:
Li1 0.022 0.500 0.250
Li2 0.343 0.741 0.535
Li3 0.657 0.259 0.465
Li4 0.343 0.259 0.965
Li5 0.657 0.741 0.035
Li6 0.978 0.500 0.750
Fe1 0.829 0.273 0.912
Fe2 0.171 0.273 0.412
Fe3 0.829 0.727 0.588
Fe4 0.171 0.727 0.088
P1 0.129 0.224 0.587
P2 0.871 0.224 0.087
P3 0.472 0.254 0.125
P4 0.244 0.000 0.250
P5 0.528 0.254 0.625
P6 0.129 0.776 0.913
P7 0.472 0.746 0.375
P8 0.871 0.776 0.413
P9 0.756 0.000 0.750
P10 0.528 0.746 0.875
O1 0.309 0.199 0.646
O2 0.211 0.619 0.979
O3 0.133 0.180 0.298
O4 0.386 0.189 0.205
O5 0.088 0.064 0.929
O6 0.789 0.619 0.479
O7 0.088 0.936 0.571
O8 0.447 0.455 0.393
O9 0.867 0.180 0.798
O10 0.309 0.801 0.854
O11 0.553 0.455 0.893
O12 0.691 0.199 0.146
O13 0.977 0.629 0.871
O14 0.395 0.931 0.431
O15 0.386 0.811 0.295
O16 0.447 0.545 0.107
O17 0.614 0.189 0.705
O18 0.133 0.820 0.202
O19 0.614 0.811 0.795
O20 0.691 0.801 0.354
O21 0.977 0.371 0.629
O22 0.553 0.545 0.607
O23 0.211 0.381 0.521
O24 0.605 0.069 0.569
O25 0.395 0.069 0.069
O26 0.912 0.936 0.071
O27 0.023 0.371 0.129
O28 0.605 0.931 0.931
O29 0.789 0.381 0.021
O30 0.912 0.064 0.429
O31 0.867 0.820 0.702
O32 0.023 0.629 0.371

[3]
VASP calculation (PBE+U) on an optimized crystal structure of Na2NiPCO7.

Calculated values
Excess energy over the best structure of this formula in the dataset: 34.0 meV per atom
E (MP2020): -6.86 eV/atom
Energy relative to the elements: -2.054 eV/atom
V: 12.597 Å³ per atom
Space group: P1

a = 6.617 Å, b = 8.880 Å, c = 10.293 Å
α = 88.61°, β = 89.71°, γ = 89.55°
Fractional positions:
Na1 0.010 0.752 0.878
Na2 0.489 0.751 0.880
Na3 0.014 0.736 0.377
Na4 0.482 0.735 0.376
Na5 0.978 0.263 0.634
Na6 0.513 0.255 0.118
Na7 0.991 0.252 0.114
Na8 0.731 0.090 0.405
Ni1 0.748 0.648 0.610
Ni2 0.753 0.652 0.111
Ni3 0.256 0.350 0.888
Ni4 0.252 0.345 0.393
P1 0.250 0.574 0.639
P2 0.251 0.577 0.142
P3 0.752 0.426 0.859
P4 0.751 0.418 0.354
C1 0.753 0.924 0.641
C2 0.750 0.929 0.148
C3 0.252 0.077 0.857
C4 0.246 0.071 0.356
O1 0.248 0.936 0.844
O2 0.246 0.930 0.338
O3 0.748 0.859 0.527
O4 0.750 0.869 0.034
O5 0.747 0.829 0.740
O6 0.748 0.833 0.246
O7 0.063 0.675 0.606
O8 0.437 0.670 0.602
O9 0.064 0.676 0.107
O10 0.439 0.673 0.108
O11 0.754 0.579 0.927
O12 0.748 0.568 0.425
O13 0.250 0.542 0.790
O14 0.248 0.541 0.293
O15 0.756 0.460 0.709
O16 0.762 0.455 0.203
O17 0.242 0.423 0.570
O18 0.250 0.426 0.071
O19 0.565 0.332 0.899
O20 0.940 0.327 0.893
O21 0.561 0.320 0.377
O22 0.934 0.316 0.393
O23 0.251 0.174 0.761
O24 0.249 0.171 0.260
O25 0.256 0.139 0.971
O26 0.246 0.129 0.470
O27 0.764 0.065 0.648
O28 0.752 0.070 0.165

[4]
VASP calculation (PBE+U) on an optimized crystal structure of SrCoAs2O7.

Calculated values
E (MP2020): -6.87 eV/atom
Energy relative to the elements: -2.071 eV/atom
V: 14.458 Å³ per atom
Space group: P2_1/c

a = 5.610 Å, b = 8.503 Å, c = 13.339 Å
α = 90.00°, β = 91.15°, γ = 90.00°
Fractional positions:
Sr1 0.791 0.174 0.780
Sr2 0.709 0.674 0.720
Sr3 0.209 0.826 0.220
Sr4 0.291 0.326 0.280
Co1 0.332 0.358 0.607
Co2 0.168 0.858 0.893
Co3 0.668 0.642 0.393
Co4 0.832 0.142 0.107
As1 0.676 0.804 0.015
As2 0.824 0.304 0.485
As3 0.176 0.696 0.515
As4 0.324 0.196 0.985
As5 0.746 0.523 0.165
As6 0.254 0.477 0.835
As7 0.754 0.023 0.335
As8 0.246 0.977 0.665
O1 0.694 0.323 0.599
O2 0.806 0.823 0.901
O3 0.306 0.677 0.401
O4 0.194 0.177 0.099
O5 0.622 0.156 0.975
O6 0.878 0.656 0.525
O7 0.378 0.844 0.025
O8 0.122 0.344 0.475
O9 0.970 0.454 0.794
O10 0.530 0.954 0.706
O11 0.030 0.546 0.206
O12 0.470 0.046 0.294
O13 0.276 0.401 0.960
O14 0.224 0.901 0.540
O15 0.724 0.599 0.040
O16 0.776 0.099 0.460
O17 0.653 0.332 0.155
O18 0.847 0.832 0.345
O19 0.347 0.668 0.845
O20 0.153 0.168 0.655
O21 0.665 0.403 0.393
O22 0.835 0.903 0.107
O23 0.461 0.384 0.763
O24 0.165 0.097 0.893
O25 0.961 0.116 0.263
O26 0.539 0.616 0.237
O27 0.039 0.884 0.737
O28 0.335 0.597 0.607

[5]
VASP calculation (PBE+U) on an optimized crystal structure of CoPdO2.

Calculated values
E (MP2020): -6.36 eV/atom
Energy relative to the elements: -0.817 eV/atom
V: 10.576 Å³ per atom
Space group: R-3m

a = 2.863 Å, b = 2.863 Å, c = 6.183 Å
α = 76.61°, β = 76.61°, γ = 60.00°
Fractional positions:
Co1 0.500 0.500 0.500
Pd1 0.000 0.000 0.000
O1 0.888 0.888 0.337
O2 0.112 0.112 0.663

[6]
VASP calculation (PBE+U) on an optimized crystal structure of Li2Fe3P5O18.

Calculated values
E (MP2020): -7.61 eV/atom
Energy relative to the elements: -2.415 eV/atom
V: 14.231 Å³ per atom
Space group: C2/c

a = 13.071 Å, b = 13.071 Å, c = 12.570 Å
α = 88.27°, β = 88.27°, γ = 21.79°
Fractional positions:
Li1 0.487 0.183 0.864
Li2 0.183 0.487 0.364
Li3 0.817 0.513 0.636
Li4 0.513 0.817 0.136
Fe1 0.879 0.724 0.621
Fe2 0.724 0.879 0.121
Fe3 0.276 0.121 0.879
Fe4 0.121 0.276 0.379
Fe5 0.500 0.500 0.500
Fe6 0.500 0.500 0.000
P1 0.933 0.930 0.592
P2 0.930 0.933 0.092
P3 0.848 0.700 0.872
P4 0.700 0.848 0.372
P5 0.300 0.152 0.628
P6 0.152 0.300 0.128
P7 0.070 0.067 0.908
P8 0.067 0.070 0.408
P9 0.270 0.730 0.750
P10 0.730 0.270 0.250
O1 0.397 0.552 0.843
O2 0.772 0.137 0.006
O3 0.552 0.397 0.343
O4 0.017 0.898 0.706
O5 0.137 0.772 0.506
O6 0.898 0.017 0.206
O7 0.639 0.235 0.568
O8 0.235 0.639 0.068
O9 0.957 0.791 0.616
O10 0.791 0.957 0.116
O11 0.761 0.850 0.963
O12 0.775 0.836 0.772
O13 0.850 0.761 0.463
O14 0.836 0.775 0.272
O15 0.239 0.325 0.628
O16 0.158 0.384 0.876
O17 0.325 0.239 0.128
O18 0.384 0.158 0.376
O19 0.616 0.842 0.624
O20 0.675 0.761 0.872
O21 0.842 0.616 0.124
O22 0.761 0.675 0.372
O23 0.164 0.225 0.728
O24 0.150 0.239 0.537
O25 0.225 0.164 0.228
O26 0.239 0.150 0.037
O27 0.209 0.043 0.884
O28 0.043 0.209 0.384
O29 0.765 0.361 0.932
O30 0.361 0.765 0.432
O31 0.102 0.983 0.794
O32 0.863 0.228 0.494
O33 0.983 0.102 0.294
O34 0.448 0.603 0.657
O35 0.228 0.863 0.994
O36 0.603 0.448 0.157

[7]
VASP calculation (PBE+U) on an optimized crystal structure of LiCo6O2F10.

Calculated values
Excess energy over the best structure of this formula in the dataset: 319.4 meV per atom
E (MP2020): -5.64 eV/atom
Energy relative to the elements: -1.762 eV/atom
V: 11.899 Å³ per atom
Space group: Cm

a = 4.836 Å, b = 4.836 Å, c = 9.674 Å
α = 88.49°, β = 88.49°, γ = 90.34°
Fractional positions:
Li1 0.777 0.777 0.191
Co1 0.957 0.957 0.982
Co2 0.062 0.062 0.348
Co3 0.009 0.009 0.665
Co4 0.437 0.437 0.140
Co5 0.504 0.504 0.836
Co6 0.514 0.514 0.497
O1 0.345 0.345 0.317
O2 0.657 0.657 0.018
F1 0.165 0.794 0.162
F2 0.184 0.787 0.828
F3 0.240 0.841 0.505
F4 0.264 0.264 0.983
F5 0.316 0.316 0.665
F6 0.706 0.706 0.670
F7 0.760 0.760 0.370
F8 0.794 0.165 0.162
F9 0.787 0.184 0.828
F10 0.841 0.240 0.505

[8]
VASP calculation (PBE+U) on an optimized crystal structure of V3O5F.

Calculated values
Excess energy over the best structure of this formula in the dataset: 25.8 meV per atom
E (MP2020): -8.57 eV/atom
Energy relative to the elements: -2.579 eV/atom
V: 10.708 Å³ per atom
Space group: P-1

a = 4.584 Å, b = 5.503 Å, c = 7.653 Å
α = 87.09°, β = 89.08°, γ = 88.64°
Fractional positions:
V1 0.500 0.500 0.500
V2 0.492 0.160 0.828
V3 0.508 0.840 0.172
V4 0.000 0.000 0.500
V5 0.982 0.331 0.150
V6 0.018 0.669 0.850
O1 0.798 0.033 0.262
O2 0.798 0.371 0.933
O3 0.702 0.869 0.930
O4 0.688 0.200 0.602
O5 0.708 0.530 0.267
O6 0.312 0.800 0.398
O7 0.298 0.131 0.070
O8 0.292 0.470 0.733
O9 0.202 0.629 0.067
O10 0.202 0.967 0.738
F1 0.809 0.697 0.608
F2 0.191 0.303 0.392

[9]
VASP calculation (PBE+U) on an optimized crystal structure of Li6V3P8O29.

Calculated values
Excess energy over the best structure of this formula in the dataset: 6.9 meV per atom
E (MP2020): -7.56 eV/atom
Energy relative to the elements: -2.656 eV/atom
V: 12.694 Å³ per atom
Space group: P1

a = 9.822 Å, b = 9.799 Å, c = 14.011 Å
α = 89.42°, β = 90.10°, γ = 60.01°
Fractional positions:
Li1 0.896 0.759 0.062
Li2 0.766 0.903 0.561
Li3 0.906 0.328 0.557
Li4 0.766 0.326 0.056
Li5 0.330 0.904 0.061
Li6 0.686 0.229 0.438
Li7 0.344 0.758 0.562
Li8 0.323 0.341 0.607
Li9 0.335 0.341 0.107
Li10 0.085 0.228 0.939
Li11 0.979 0.970 0.997
Li12 0.052 0.969 0.499
V1 0.560 0.441 0.248
V2 0.434 0.565 0.757
V3 0.566 0.999 0.749
V4 0.437 0.999 0.250
V5 0.002 0.565 0.257
V6 0.999 0.440 0.748
P1 0.913 0.772 0.844
P2 0.773 0.914 0.345
P3 0.914 0.309 0.343
P4 0.670 0.666 0.129
P5 0.664 0.665 0.629
P6 0.778 0.308 0.843
P7 0.679 0.230 0.659
P8 0.313 0.916 0.846
P9 0.692 0.088 0.159
P10 0.314 0.774 0.344
P11 0.214 0.698 0.161
P12 0.337 0.329 0.368
P13 0.333 0.331 0.867
P14 0.088 0.698 0.661
P15 0.220 0.088 0.660
P16 0.091 0.229 0.159
O1 0.990 0.805 0.581
O2 0.917 0.751 0.338
O3 0.799 0.988 0.082
O4 0.746 0.913 0.825
O5 0.911 0.618 0.830
O6 0.817 0.665 0.175
O7 0.912 0.467 0.334
O8 0.996 0.239 0.071
O9 0.921 0.332 0.835
O10 0.670 0.813 0.663
O11 0.624 0.904 0.325
O12 0.816 0.514 0.672
O13 0.683 0.656 0.023
O14 0.662 0.652 0.524
O15 0.667 0.516 0.172
O16 0.468 0.914 0.829
O17 0.517 0.815 0.164
O18 0.747 0.333 0.335
O19 0.788 0.205 0.751
O20 0.764 0.240 0.571
O21 0.794 0.215 0.933
O22 0.622 0.465 0.834
O23 0.518 0.665 0.676
O24 0.657 0.261 0.152
O25 0.469 0.617 0.331
O26 0.343 0.913 0.328
O27 0.783 0.022 0.260
O28 0.768 0.998 0.436
O29 0.215 0.986 0.582
O30 0.658 0.085 0.654
O31 0.516 0.378 0.672
O32 0.336 0.751 0.839
O33 0.486 0.329 0.326
O34 0.368 0.533 0.168
O35 0.207 0.802 0.080
O36 0.236 0.786 0.438
O37 0.196 0.787 0.261
O38 0.258 0.667 0.659
O39 0.478 0.191 0.822
O40 0.531 0.093 0.166
O41 0.328 0.483 0.827
O42 0.327 0.328 0.974
O43 0.345 0.327 0.475
O44 0.189 0.481 0.327
O45 0.375 0.094 0.667
O46 0.333 0.188 0.323
O47 0.075 0.667 0.159
O48 0.019 0.785 0.761
O49 0.975 0.786 0.938
O50 0.097 0.534 0.666
O51 0.183 0.332 0.825
O52 0.108 0.377 0.172
O53 0.257 0.082 0.155
O54 0.230 0.999 0.936
O55 0.196 0.021 0.760
O56 0.083 0.259 0.652
O57 0.990 0.218 0.434
O58 0.008 0.205 0.252

> Which formula does entry 3 have?

Na2NiPCO7

> Number 3 is which compound?

Na2NiPCO7